# 1
Tm2CdIn after structural relaxation. Source: the Materials Project database, functional r2SCAN.

Properties
Calculated formation energy in meV/atom: -477.6

Lattice parameters (Å, degrees): 5.2039 5.2039 5.2039 60.00 60.00 60.00
With the nearest neighbours (Å) after each atom.
Fractional positions:
Tm1 0.2500 0.2500 0.2500  4 Cd 3.19, 4 In 3.19
Tm2 0.7500 0.7500 0.7500  4 Cd 3.19, 4 In 3.19
Cd1 0.0000 0.0000 0.0000  8 Tm 3.19
In1 0.5000 0.5000 0.5000  8 Tm 3.19



# 2
Cd41Ir8 after structural relaxation. Source: the Materials Project database, functional r2SCAN.

Properties
Calculated formation energy in meV/atom: -99.0

Lattice parameters (Å, degrees): 10.1683 10.1683 10.1683 94.82 94.82 94.82
With the nearest neighbours (Å) after each atom.
Fractional positions:
Cd1 0.0000 0.0000 0.0000  6 Cd 3.04, 2 Ir 3.10
Cd2 0.0000 0.5000 0.5000  2 Ir 2.77, 8 Cd 2.96-3.02
Cd3 0.0354 0.2168 0.4032  2 Ir 2.78-2.80, 5 Cd 2.96-3.02
Cd4 0.0502 0.7303 0.8709  2 Ir 2.70-2.74, 3 Cd 2.93-2.98
Cd5 0.0753 0.4490 0.7775  2 Ir 2.73, 5 Cd 2.96-3.05
Cd6 0.1282 0.1780 0.6801  2 Ir 2.74-2.79, 4 Cd 2.93-3.05
Cd7 0.1291 0.9498 0.2697  2 Ir 2.70-2.74, 3 Cd 2.93-2.98
Cd8 0.1780 0.6801 0.1282  2 Ir 2.74-2.79, 4 Cd 2.93-3.05
Cd9 0.2168 0.4032 0.0354  2 Ir 2.78-2.80, 5 Cd 2.96-3.02
Cd10 0.2225 0.9247 0.5510  2 Ir 2.73, 5 Cd 2.96-3.05
Cd11 0.2251 0.4622 0.3315  2 Ir 2.93-2.95, 9 Cd 3.00-3.20
Cd12 0.2623 0.6343 0.6104  2 Ir 2.85-2.88, 8 Cd 2.98-3.18
Cd13 0.2697 0.1291 0.9498  2 Ir 2.70-2.74, 3 Cd 2.93-2.98
Cd14 0.3199 0.8718 0.8220  2 Ir 2.74-2.79, 4 Cd 2.93-3.05
Cd15 0.3315 0.2251 0.4622  2 Ir 2.93-2.95, 9 Cd 3.00-3.20
Cd16 0.3657 0.3896 0.7377  2 Ir 2.85-2.88, 8 Cd 2.98-3.18
Cd17 0.3896 0.7377 0.3657  2 Ir 2.85-2.88, 8 Cd 2.98-3.18
Cd18 0.4032 0.0354 0.2168  2 Ir 2.78-2.80, 5 Cd 2.96-3.02
Cd19 0.4490 0.7775 0.0753  2 Ir 2.73, 5 Cd 2.96-3.05
Cd20 0.4622 0.3315 0.2251  2 Ir 2.93-2.95, 9 Cd 3.00-3.20
Cd21 0.5000 0.0000 0.5000  2 Ir 2.77, 8 Cd 2.96-3.02
Cd22 0.5000 0.5000 0.0000  2 Ir 2.77, 8 Cd 2.96-3.02
Cd23 0.5000 0.5000 0.5000  12 Cd 3.12-3.13
Cd24 0.5378 0.6685 0.7749  2 Ir 2.93-2.95, 9 Cd 3.00-3.20
Cd25 0.5510 0.2225 0.9247  2 Ir 2.73, 5 Cd 2.96-3.05
Cd26 0.5968 0.9646 0.7832  2 Ir 2.78-2.80, 5 Cd 2.96-3.02
Cd27 0.6104 0.2623 0.6343  2 Ir 2.85-2.88, 8 Cd 2.98-3.18
Cd28 0.6343 0.6104 0.2623  2 Ir 2.85-2.88, 8 Cd 2.98-3.18
Cd29 0.6685 0.7749 0.5378  2 Ir 2.93-2.95, 9 Cd 3.00-3.20
Cd30 0.6801 0.1282 0.1780  2 Ir 2.74-2.79, 4 Cd 2.93-3.05
Cd31 0.7303 0.8709 0.0502  2 Ir 2.70-2.74, 3 Cd 2.93-2.98
Cd32 0.7377 0.3657 0.3896  2 Ir 2.85-2.88, 8 Cd 2.98-3.18
Cd33 0.7749 0.5378 0.6685  2 Ir 2.93-2.95, 9 Cd 3.00-3.20
Cd34 0.7775 0.0753 0.4490  2 Ir 2.73, 5 Cd 2.96-3.05
Cd35 0.7832 0.5968 0.9646  2 Ir 2.78-2.80, 5 Cd 2.96-3.02
Cd36 0.8220 0.3199 0.8718  2 Ir 2.74-2.79, 4 Cd 2.93-3.05
Cd37 0.8709 0.0502 0.7303  2 Ir 2.70-2.74, 3 Cd 2.93-2.98
Cd38 0.8718 0.8220 0.3199  2 Ir 2.74-2.79, 4 Cd 2.93-3.05
Cd39 0.9247 0.5510 0.2225  2 Ir 2.73, 5 Cd 2.96-3.05
Cd40 0.9498 0.2697 0.1291  2 Ir 2.70-2.74, 3 Cd 2.93-2.98
Cd41 0.9646 0.7832 0.5968  2 Ir 2.78-2.80, 5 Cd 2.96-3.02
Ir1 0.1101 0.7142 0.3832  10 Cd 2.73-2.93
Ir2 0.1929 0.1929 0.1929  9 Cd 2.70-2.95
Ir3 0.2858 0.6168 0.8899  10 Cd 2.73-2.93
Ir4 0.3832 0.1101 0.7142  10 Cd 2.73-2.93
Ir5 0.6168 0.8899 0.2858  10 Cd 2.73-2.93
Ir6 0.7142 0.3832 0.1101  10 Cd 2.73-2.93
Ir7 0.8071 0.8071 0.8071  9 Cd 2.70-2.95
Ir8 0.8899 0.2858 0.6168  10 Cd 2.73-2.93



# 3
La4CdIr after structural relaxation. Source: the Materials Project database, functional r2SCAN.

Properties
Calculated formation energy in meV/atom: -536.7

Lattice parameters (Å, degrees): 10.1084 10.1084 10.1084 60.00 60.00 60.00
With the nearest neighbours (Å) after each atom.
Fractional positions:
La1 0.0595 0.0595 0.4405  2 Ir 2.93
La2 0.0595 0.4405 0.0595  2 Ir 2.93
La3 0.0595 0.4405 0.4405  2 Ir 2.93
La4 0.1907 0.1907 0.8093  2 Cd 3.48, 10 La 3.61-3.85, 2 Ir 3.61
La5 0.1907 0.8093 0.1907  2 Cd 3.48, 10 La 3.61-3.85, 2 Ir 3.61
La6 0.1907 0.8093 0.8093  2 Cd 3.48, 10 La 3.61-3.85, 2 Ir 3.61
La7 0.2087 0.5971 0.5971  3 Ir 2.96
La8 0.4405 0.0595 0.0595  2 Ir 2.93
La9 0.4405 0.0595 0.4405  2 Ir 2.93
La10 0.4405 0.4405 0.0595  2 Ir 2.93
La11 0.5971 0.2087 0.5971  3 Ir 2.96
La12 0.5971 0.5971 0.2087  3 Ir 2.96
La13 0.5971 0.5971 0.5971  3 Ir 2.96
La14 0.8093 0.1907 0.1907  2 Cd 3.48, 10 La 3.61-3.85, 2 Ir 3.61
La15 0.8093 0.1907 0.8093  2 Cd 3.48, 10 La 3.61-3.85, 2 Ir 3.61
La16 0.8093 0.8093 0.1907  2 Cd 3.48, 10 La 3.61-3.85, 2 Ir 3.61
Cd1 0.5145 0.8285 0.8285  3 Cd 3.17, 3 La 3.48
Cd2 0.8285 0.5145 0.8285  3 Cd 3.17, 3 La 3.48
Cd3 0.8285 0.8285 0.5145  3 Cd 3.17, 3 La 3.48
Cd4 0.8285 0.8285 0.8285  3 Cd 3.17, 3 La 3.48
Ir1 0.3908 0.3908 0.3908  6 La 2.93-2.96
Ir2 0.3908 0.3908 0.8274  6 La 2.93-2.96
Ir3 0.3908 0.8274 0.3908  6 La 2.93-2.96
Ir4 0.8274 0.3908 0.3908  6 La 2.93-2.96



What is the formula in the second record? Cd41Ir8